Computed, not measured: a relaxed structure of Sr2CaNbO6 at the PBE level of DFT.

Output
energy of formation from the pure elements = -297.06 kJ/mol of atoms
spin magnetization = 0.100 μB/atom

Cell: 8.278 8.278 8.644 Å, 90.00 90.00 90.00°
Fractional positions:
Sr 0.249 0.250 0.252
Sr 0.250 0.250 0.748
Sr 0.250 0.750 0.252
Sr 0.250 0.751 0.748
Sr 0.750 0.249 0.748
Sr 0.750 0.250 0.252
Sr 0.750 0.750 0.748
Sr 0.751 0.750 0.252
Ca 0.000 0.000 0.000
Ca 0.000 0.500 0.501
Ca 0.500 0.000 0.499
Ca 0.500 0.500 0.000
Nb 0.000 0.000 0.500
Nb 0.000 0.500 0.001
Nb 0.500 0.000 0.999
Nb 0.500 0.500 0.500
O 0.000 0.000 0.265
O 0.000 0.000 0.735
O 0.000 0.500 0.235
O 0.000 0.500 0.768
O 0.075 0.769 0.501
O 0.079 0.731 0.003
O 0.231 0.075 0.499
O 0.231 0.421 0.002
O 0.268 0.426 0.500
O 0.269 0.079 0.997
O 0.421 0.769 0.998
O 0.426 0.732 0.500
O 0.500 0.000 0.232
O 0.500 0.000 0.765
O 0.500 0.500 0.266
O 0.500 0.500 0.734
O 0.574 0.268 0.500
O 0.579 0.231 0.998
O 0.731 0.921 0.997
O 0.732 0.574 0.500
O 0.769 0.579 0.002
O 0.769 0.925 0.499
O 0.921 0.269 0.003
O 0.925 0.231 0.501

Computed, not measured: a relaxed structure of SrCaTbNbO6 at the PBE level of DFT.

Output
energy of formation from the pure elements = -320.44 kJ/mol of atoms
spin magnetization = 0.000 μB/atom

Cell: 5.965 5.965 5.965 Å, 60.00 60.00 60.00°
Fractional positions:
Sr 0.000 0.000 0.000
Ca 0.500 0.500 0.500
Tb 0.250 0.250 0.250
Nb 0.750 0.750 0.750
O 0.512 0.512 0.988
O 0.512 0.988 0.512
O 0.512 0.988 0.988
O 0.988 0.512 0.512
O 0.988 0.512 0.988
O 0.988 0.988 0.512

Computed, not measured: a relaxed structure of SrCaTiNbO6 at the PBE level of DFT.

Output
energy of formation from the pure elements = -321.79 kJ/mol of atoms
spin magnetization = 0.000 μB/atom

Cell: 5.649 5.649 5.649 Å, 60.00 60.00 60.00°
Fractional positions:
Sr 0.000 0.000 0.000
Ca 0.500 0.500 0.500
Ti 0.250 0.250 0.250
Nb 0.750 0.750 0.750
O 0.003 0.003 0.497
O 0.003 0.497 0.003
O 0.003 0.497 0.497
O 0.497 0.003 0.003
O 0.497 0.003 0.497
O 0.497 0.497 0.003